1.
DFT (PBE) results for a geometry-optimized CuH6CI3N structure.

Unit cell a=8.353 b=10.978 c=9.343 alpha=90.00 beta=90.00 gamma=90.00
Fractional positions:
I1 0.269 0.013 0.325
I2 0.231 0.987 0.825
I3 0.731 0.987 0.675
I4 0.029 0.250 0.996
I5 0.971 0.750 0.004
I6 0.769 0.013 0.175
I7 0.529 0.250 0.504
I8 0.231 0.513 0.825
I9 0.471 0.750 0.496
I10 0.731 0.513 0.675
I11 0.769 0.487 0.175
I12 0.269 0.487 0.325
H1 0.165 0.250 0.552
H2 0.163 0.750 0.577
H3 0.496 0.326 0.141
H4 0.494 0.168 0.881
H5 0.994 0.168 0.619
H6 0.004 0.826 0.641
H7 0.504 0.826 0.859
H8 0.337 0.250 0.077
H9 0.663 0.750 0.923
H10 0.506 0.668 0.119
H11 0.665 0.250 0.948
H12 0.004 0.674 0.641
H13 0.996 0.326 0.359
H14 0.496 0.174 0.141
H15 0.994 0.332 0.619
H16 0.335 0.750 0.052
H17 0.006 0.668 0.381
H18 0.494 0.332 0.881
H19 0.506 0.832 0.119
H20 0.837 0.250 0.423
H21 0.504 0.674 0.859
H22 0.996 0.174 0.359
H23 0.835 0.750 0.448
H24 0.006 0.832 0.381
C1 0.534 0.250 0.937
C2 0.466 0.750 0.063
C3 0.966 0.750 0.437
C4 0.034 0.250 0.563
N1 0.461 0.250 0.083
N2 0.039 0.750 0.583
N3 0.539 0.750 0.917
N4 0.961 0.250 0.417
Cu1 0.500 0.500 0.500
Cu2 0.000 0.000 0.000
Cu3 0.500 0.000 0.500
Cu4 0.000 0.500 0.000

Values from the calculation:
As for the magnetization: 0.000 μB per cell. As for the space group: Pnma, No. 62. For the formation energy, the calculation gives -0.28 eV/atom. The value obtained for the MP2020-corrected energy is -4.1595 eV per atom. The calculated total energy is -4.129 eV/atom.

2.
DFT (PBE) results for a geometry-optimized CuH24C9S3IN6 structure.

Unit cell a=8.230 b=10.595 c=13.213 alpha=69.46 beta=80.46 gamma=83.12
Fractional positions:
Cu1 0.842 0.603 0.461
Cu2 0.158 0.397 0.539
H1 0.074 0.008 0.879
H2 0.716 0.828 0.507
H3 0.926 0.686 0.802
H4 0.564 0.986 0.139
H5 0.199 0.864 0.864
H6 0.678 0.284 0.702
H7 0.790 0.083 0.023
H8 0.210 0.917 0.977
H9 0.074 0.314 0.198
H10 0.511 0.026 0.377
H11 0.565 0.690 0.366
H12 0.137 0.664 0.091
H13 0.569 0.211 0.835
H14 0.993 0.449 0.924
H15 0.661 0.106 0.757
H16 0.436 0.014 0.861
H17 0.686 0.023 0.550
H18 0.003 0.865 0.584
H19 0.926 0.992 0.121
H20 0.489 0.974 0.623
H21 0.670 0.923 0.691
H22 0.322 0.716 0.298
H23 0.631 0.414 0.114
H24 0.863 0.336 0.909
H25 0.007 0.551 0.076
H26 0.009 0.611 0.266
H27 0.990 0.896 0.710
H28 0.369 0.586 0.886
H29 0.820 0.170 0.347
H30 0.339 0.894 0.243
H31 0.997 0.135 0.416
H32 0.431 0.789 0.165
H33 0.284 0.172 0.493
H34 0.435 0.310 0.634
H35 0.672 0.465 0.222
H36 0.330 0.077 0.309
H37 0.328 0.535 0.778
H38 0.498 0.764 0.768
H39 0.801 0.136 0.136
H40 0.480 0.516 0.170
H41 0.180 0.830 0.653
H42 0.314 0.977 0.450
H43 0.502 0.236 0.232
H44 0.010 0.104 0.290
H45 0.520 0.484 0.830
H46 0.790 0.507 0.888
H47 0.210 0.493 0.112
H48 0.991 0.389 0.734
C1 0.622 0.941 0.613
C2 0.416 0.298 0.362
C3 0.596 0.205 0.752
C4 0.315 0.152 0.742
C5 0.101 0.560 0.123
C6 0.378 0.059 0.387
C7 0.584 0.702 0.638
C8 0.805 0.047 0.110
C9 0.423 0.567 0.811
C10 0.404 0.795 0.248
C11 0.195 0.953 0.890
C12 0.990 0.412 0.308
C13 0.577 0.433 0.189
C14 0.899 0.440 0.877
C15 0.045 0.829 0.664
C16 0.685 0.848 0.258
C17 0.955 0.171 0.336
C18 0.010 0.588 0.692
I1 0.309 0.207 0.065
I2 0.691 0.793 0.935
S1 0.863 0.806 0.320
S2 0.089 0.605 0.558
S3 0.137 0.194 0.680
S4 0.382 0.432 0.408
S5 0.911 0.395 0.442
S6 0.618 0.568 0.592
N1 0.351 0.178 0.420
N2 0.964 0.468 0.762
N3 0.649 0.822 0.580
N4 0.326 0.041 0.830
N5 0.554 0.773 0.298
N6 0.490 0.692 0.734
N7 0.036 0.532 0.238
N8 0.674 0.959 0.170
N9 0.008 0.306 0.272
N10 0.446 0.227 0.702
N11 0.510 0.308 0.266
N12 0.992 0.694 0.728

Values from the calculation:
As for the magnetization: 0.275 μB per cell. As for the space group: P-1, No. 2. For the formation energy, the calculation gives -0.25 eV/atom. The value obtained for the MP2020-corrected energy is -5.5347 eV per atom. The calculated total energy is -5.451 eV/atom.

3.
DFT (PBE) results for a geometry-optimized CuSiH18C7S3I structure.

Unit cell a=13.380 b=9.791 c=13.768 alpha=78.44 beta=90.00 gamma=90.00
Fractional positions:
C1 0.254 0.442 0.113
C2 0.785 0.308 0.823
C3 0.484 0.860 0.653
C4 0.285 0.692 0.677
C5 0.516 0.140 0.347
C6 0.012 0.263 0.459
C7 0.206 0.980 0.226
C8 0.794 0.020 0.774
C9 0.833 0.794 0.076
C10 0.406 0.731 0.864
C11 0.988 0.737 0.541
C12 0.984 0.140 0.847
C13 0.512 0.737 0.041
C14 0.906 0.269 0.636
C15 0.706 0.020 0.274
C16 0.667 0.794 0.576
C17 0.167 0.206 0.924
C18 0.294 0.980 0.726
C19 0.215 0.692 0.177
C20 0.246 0.442 0.613
C21 0.746 0.558 0.887
C22 0.016 0.860 0.153
C23 0.715 0.308 0.323
C24 0.094 0.731 0.364
C25 0.333 0.206 0.424
C26 0.754 0.558 0.387
C27 0.594 0.269 0.136
C28 0.488 0.263 0.959
H1 0.726 0.974 0.351
H2 0.275 0.958 0.269
H3 0.451 0.639 0.859
H4 0.952 0.808 0.584
H5 0.723 0.259 0.403
H6 0.780 0.657 0.896
H7 0.791 0.870 0.108
H8 0.265 0.509 0.040
H9 0.837 0.303 0.594
H10 0.775 0.042 0.231
H11 0.049 0.639 0.359
H12 0.337 0.697 0.906
H13 0.716 0.708 0.566
H14 0.777 0.259 0.903
H15 0.825 0.580 0.346
H16 0.274 0.026 0.649
H17 0.284 0.292 0.434
H18 0.784 0.708 0.066
H19 0.947 0.311 0.417
H20 0.712 0.315 0.787
H21 0.838 0.943 0.745
H22 0.435 0.344 0.968
H23 0.959 0.105 0.925
H24 0.065 0.344 0.468
H25 0.978 0.947 0.177
H26 0.220 0.343 0.104
H27 0.235 0.509 0.540
H28 0.951 0.361 0.641
H29 0.709 0.870 0.608
H30 0.291 0.130 0.392
H31 0.338 0.057 0.755
H32 0.280 0.343 0.604
H33 0.549 0.361 0.141
H34 0.522 0.947 0.677
H35 0.541 0.105 0.425
H36 0.048 0.192 0.416
H37 0.774 0.974 0.851
H38 0.720 0.657 0.396
H39 0.225 0.958 0.769
H40 0.216 0.292 0.934
H41 0.662 0.943 0.245
H42 0.447 0.689 0.083
H43 0.163 0.697 0.406
H44 0.162 0.057 0.255
H45 0.478 0.053 0.323
H46 0.209 0.130 0.892
H47 0.325 0.420 0.154
H48 0.935 0.656 0.532
H49 0.226 0.026 0.149
H50 0.548 0.808 0.084
H51 0.725 0.042 0.731
H52 0.175 0.420 0.654
H53 0.288 0.685 0.213
H54 0.041 0.895 0.075
H55 0.788 0.315 0.287
H56 0.663 0.303 0.094
H57 0.452 0.192 0.916
H58 0.223 0.741 0.097
H59 0.675 0.580 0.846
H60 0.022 0.053 0.823
H61 0.735 0.491 0.960
H62 0.565 0.656 0.032
H63 0.053 0.689 0.583
H64 0.365 0.156 0.496
H65 0.277 0.741 0.597
H66 0.212 0.685 0.713
H67 0.865 0.844 0.004
H68 0.635 0.844 0.504
H69 0.765 0.491 0.460
H70 0.553 0.311 0.917
H71 0.459 0.895 0.575
H72 0.135 0.156 0.996
S1 0.931 0.716 0.159
S2 0.477 0.848 0.924
S3 0.569 0.716 0.659
S4 0.336 0.519 0.684
S5 0.431 0.284 0.341
S6 0.023 0.848 0.424
S7 0.069 0.284 0.841
S8 0.836 0.481 0.816
S9 0.664 0.481 0.316
S10 0.164 0.519 0.184
S11 0.977 0.152 0.576
S12 0.523 0.152 0.076
Cu1 0.481 0.555 0.594
Cu2 0.019 0.555 0.094
Cu3 0.981 0.445 0.906
Cu4 0.519 0.445 0.406
I1 0.934 0.315 0.094
I2 0.566 0.315 0.594
I3 0.066 0.685 0.906
I4 0.434 0.685 0.406
Si1 0.868 0.185 0.768
Si2 0.368 0.815 0.732
Si3 0.632 0.185 0.268
Si4 0.132 0.815 0.232

Values from the calculation:
As for the magnetization: 0.004 μB per cell. As for the space group: P2_1/c, No. 14. For the formation energy, the calculation gives -0.21 eV/atom. The value obtained for the MP2020-corrected energy is -5.0252 eV per atom. The calculated total energy is -4.964 eV/atom.

4.
DFT (PBE) results for a geometry-optimized K2CuH14C4N6O8 structure.

Unit cell a=13.443 b=4.004 c=14.276 alpha=79.23 beta=90.00 gamma=90.00
Fractional positions:
N1 0.789 0.221 0.087
N2 0.139 0.979 0.043
N3 0.541 0.147 0.618
N4 0.459 0.853 0.382
N5 0.211 0.779 0.913
N6 0.959 0.147 0.118
N7 0.639 0.021 0.457
N8 0.289 0.779 0.413
N9 0.861 0.021 0.957
N10 0.711 0.221 0.587
N11 0.041 0.853 0.882
N12 0.361 0.979 0.543
O1 0.190 0.939 0.526
O2 0.147 0.675 0.774
O3 0.323 0.422 0.720
O4 0.946 0.822 0.617
O5 0.853 0.325 0.226
O6 0.177 0.422 0.220
O7 0.446 0.178 0.883
O8 0.810 0.061 0.474
O9 0.647 0.325 0.726
O10 0.677 0.578 0.280
O11 0.823 0.578 0.780
O12 0.054 0.178 0.383
O13 0.353 0.675 0.274
O14 0.310 0.939 0.026
O15 0.690 0.061 0.974
O16 0.554 0.822 0.117
C1 0.629 0.233 0.646
C2 0.129 0.767 0.854
C3 0.279 0.907 0.497
C4 0.721 0.093 0.503
C5 0.871 0.233 0.146
C6 0.221 0.907 0.997
C7 0.371 0.767 0.354
C8 0.779 0.093 0.003
H1 0.223 0.721 0.386
H2 0.102 0.085 0.434
H3 0.157 0.600 0.166
H4 0.841 0.889 0.905
H5 0.905 0.737 0.674
H6 0.095 0.263 0.326
H7 0.595 0.737 0.174
H8 0.988 0.828 0.833
H9 0.261 0.517 0.745
H10 0.843 0.400 0.834
H11 0.739 0.483 0.255
H12 0.657 0.400 0.334
H13 0.239 0.517 0.245
H14 0.398 0.085 0.934
H15 0.602 0.915 0.066
H16 0.777 0.279 0.614
H17 0.659 0.889 0.405
H18 0.898 0.915 0.566
H19 0.159 0.111 0.095
H20 0.405 0.263 0.826
H21 0.343 0.600 0.666
H22 0.341 0.111 0.595
H23 0.012 0.172 0.167
H24 0.512 0.828 0.333
H25 0.488 0.172 0.667
H26 0.277 0.721 0.886
H27 0.761 0.483 0.755
H28 0.723 0.279 0.114
K1 0.097 0.310 0.639
K2 0.903 0.690 0.361
K3 0.597 0.690 0.861
K4 0.403 0.310 0.139
Cu1 0.500 0.000 0.500
Cu2 0.000 0.000 0.000

Values from the calculation:
As for the magnetization: 1.960 μB per cell. As for the space group: P2_1/c, No. 14. For the formation energy, the calculation gives -0.93 eV/atom. The value obtained for the MP2020-corrected energy is -6.0854 eV per atom. The calculated total energy is -5.928 eV/atom.

5.
DFT (PBE) results for a geometry-optimized K2CuH8C4O12 structure.

Unit cell a=14.876 b=3.892 c=11.413 alpha=73.49 beta=90.00 gamma=90.00
Fractional positions:
O1 0.406 0.221 0.944
O2 0.029 0.324 0.676
O3 0.529 0.676 0.824
O4 0.345 0.170 0.769
O5 0.021 0.644 0.142
O6 0.170 0.856 0.810
O7 0.670 0.144 0.690
O8 0.471 0.324 0.176
O9 0.979 0.356 0.858
O10 0.155 0.170 0.269
O11 0.479 0.644 0.642
O12 0.263 0.729 0.070
O13 0.830 0.144 0.190
O14 0.521 0.356 0.358
O15 0.237 0.729 0.570
O16 0.906 0.779 0.556
O17 0.845 0.830 0.731
O18 0.330 0.856 0.310
O19 0.094 0.221 0.444
O20 0.594 0.779 0.056
O21 0.655 0.830 0.231
O22 0.737 0.271 0.930
O23 0.971 0.676 0.324
O24 0.763 0.271 0.430
H1 0.311 0.876 0.022
H2 0.772 0.015 0.202
H3 0.811 0.124 0.478
H4 0.625 0.975 0.738
H5 0.214 0.674 0.654
H6 0.875 0.975 0.238
H7 0.125 0.025 0.762
H8 0.786 0.326 0.346
H9 0.272 0.985 0.298
H10 0.714 0.326 0.846
H11 0.189 0.876 0.522
H12 0.728 0.015 0.702
H13 0.228 0.985 0.798
H14 0.375 0.025 0.262
H15 0.286 0.674 0.154
H16 0.689 0.124 0.978
C1 0.098 0.296 0.326
C2 0.525 0.441 0.245
C3 0.975 0.441 0.745
C4 0.402 0.296 0.826
C5 0.475 0.559 0.755
C6 0.902 0.704 0.674
C7 0.025 0.559 0.255
C8 0.598 0.704 0.174
Cu1 0.000 0.500 0.500
Cu2 0.500 0.500 0.000
K1 0.869 0.733 0.987
K2 0.369 0.267 0.513
K3 0.131 0.267 0.013
K4 0.631 0.733 0.487

Values from the calculation:
As for the magnetization: 2.004 μB per cell. As for the space group: P2_1/c, No. 14. For the formation energy, the calculation gives -1.49 eV/atom. The value obtained for the MP2020-corrected energy is -6.2928 eV per atom. The calculated total energy is -5.987 eV/atom.

Question: magnetization of number 5 (K2CuH8C4O12)?
Answer: 2.004 μB per cell